1.
Density functional theory data (PBE) for a relaxed Ti2Co3Sn2 crystal.

Cell and atoms, written as extended XYZ:
```
7
Lattice="0.557 7.260 0.507 -2.387 6.043 3.327 1.745 5.660 4.265" Properties=species:S:1:pos:R:3 pbc="T T T"
Ti -0.021 4.683 2.000
Co -0.053 11.914 5.088
Sn -0.043 9.545 4.076
Co -0.010 2.322 0.992
Ti -0.064 14.295 6.105
Sn -0.084 18.868 8.058
Co -0.032 7.115 3.038
```

Values from the calculation:
SG	R3m


2.
Density functional theory data (PBE) for a relaxed TiCoSn crystal.

Cell and atoms, written as extended XYZ:
```
3
Lattice="0.000 3.062 3.062 3.062 0.000 3.062 3.062 3.062 0.000" Properties=species:S:1:pos:R:3 pbc="T T T"
Sn 3.062 3.062 3.062
Ti 1.531 1.531 1.531
Co 0.000 0.000 0.000
```

Values from the calculation:
SG	F-43m


3.
Density functional theory data (PBE) for a relaxed TmCo2Sn crystal.

Cell and atoms, written as extended XYZ:
```
4
Lattice="-0.440 1.715 4.149 -4.087 0.336 1.880 -1.126 -2.688 3.444" Properties=species:S:1:pos:R:3 pbc="T T T"
Tm 0.000 0.000 0.000
Co -4.240 -0.478 7.105
Sn -2.827 -0.319 4.737
Co -1.413 -0.159 2.368
```

Values from the calculation:
SG	Fm-3m


4.
Density functional theory data (PBE) for a relaxed Tm3Co8Sn4 crystal.

Cell and atoms, written as extended XYZ:
```
30
Lattice="0.000 0.000 -7.518 -4.387 -7.599 0.000 -4.387 7.599 0.000" Properties=species:S:1:pos:R:3 pbc="T T T"
Co -2.120 -1.224 -7.072
Co -4.387 6.081 -5.674
Sn -2.254 1.301 -0.544
Co -1.315 0.759 -5.674
Tm -4.387 -0.375 -2.143
Co -1.315 -0.759 -1.915
Co 0.000 0.000 -7.496
Co 0.000 0.000 -3.737
Co -7.460 0.759 -5.674
Tm -6.256 -3.612 -2.143
Co -6.655 -1.224 -7.072
Co -2.120 1.224 -3.313
Co -6.655 1.224 -3.313
Co -4.387 5.151 -3.313
Sn -6.521 1.301 -0.544
Sn -4.387 -4.996 -4.303
Sn -4.387 -2.533 -7.365
Tm -4.387 0.375 -5.902
Sn -6.521 -1.301 -4.303
Co -4.387 -6.081 -1.915
Sn -4.387 4.996 -0.544
Tm -6.256 3.612 -5.902
Sn -4.387 2.533 -3.606
Tm -2.519 3.612 -5.902
Co -4.387 -5.151 -7.072
Co -4.387 2.533 -0.974
Tm -2.519 -3.612 -2.143
Co -7.460 -0.759 -1.915
Sn -2.254 -1.301 -4.303
Co -4.387 -2.533 -4.733
```

Values from the calculation:
SG	P6_3mc


no.,E_tot (eV/atom),formation energy (eV/atom)
1,-6.854,-0.41
2,-6.039,0.30
3,-5.989,-0.31
4,-6.049,-0.29